No. 1
GGA-PBE Mn5Nb7N2, relaxed; ΔE_f = -0.478 eV per atom; calculated density = 8.2 Mg/m³; symmetry = No. 74
1.0
1.513 8.016 -0.652
-7.667 -2.812 -0.771
-2.455 5.082 5.876
Mn Nb N
10 14 4
Cartesian
-7.114 -0.655 0.418
-2.005 1.219 0.932
-3.155 7.284 4.811
-1.436 3.724 0.695
-1.494 10.940 4.035
-6.603 9.066 3.522
-5.453 3.001 -0.357
-7.172 6.561 3.759
-3.077 2.602 -0.711
0.757 4.008 -0.326
-6.356 4.942 1.543
-4.004 9.836 3.941
-7.886 3.890 4.008
-4.018 2.985 2.018
-4.971 4.960 4.301
-6.933 1.916 1.725
-2.252 5.343 2.911
-4.604 0.449 0.512
-0.722 6.395 0.446
-4.591 7.300 2.436
-3.637 5.325 0.153
-1.676 8.369 2.729
-1.227 2.541 2.938
0.000 0.000 0.000
-0.471 6.549 2.612
-4.304 5.142 2.227
-3.834 -1.406 -0.385
-5.061 1.135 2.553

***

No. 2
GGA-PBE Mn2NiN2, relaxed; ΔE_f = -0.344 eV per atom; calculated density = 6.9 Mg/m³; symmetry = No. 59
1.0
2.855 0.000 0.000
0.000 2.851 0.000
0.000 0.000 11.645
Mn Ni N
4 2 4
Cartesian
0.737 0.713 10.594
0.737 0.713 6.873
2.118 2.138 1.051
2.118 2.138 4.772
0.649 0.713 2.911
2.206 2.138 8.734
0.692 0.713 4.779
0.692 0.713 1.044
2.163 2.138 6.866
2.163 2.138 10.601

***

No. 3
GGA-PBE Mn2NiN2, relaxed; ΔE_f = -0.171 eV per atom; calculated density = 5.9 Mg/m³; symmetry = No. 36
1.0
4.434 -0.828 0.000
-3.198 5.166 0.000
0.000 0.000 5.420
Mn Ni N
4 2 4
Cartesian
1.502 -0.145 4.508
0.696 2.929 4.508
-0.265 4.483 1.798
0.541 1.409 1.798
-1.685 2.723 3.308
-1.512 2.443 0.598
1.642 0.257 0.867
0.274 2.983 0.867
-0.405 4.081 3.577
0.963 1.355 3.577

***

No. 4
GGA-PBE Mn2Ni9N8, relaxed; ΔE_f = 0.131 eV per atom; calculated density = 7.1 Mg/m³; symmetry = No. 12
1.0
7.870 -0.070 -0.022
1.127 3.989 0.000
1.633 -0.461 5.594
Mn Ni N
2 9 8
Cartesian
5.087 2.870 4.420
5.543 0.587 1.152
1.380 1.764 2.797
2.636 3.562 4.013
7.994 -0.105 1.559
6.888 2.361 2.594
3.743 1.096 2.978
8.589 1.880 5.509
2.042 1.577 0.063
4.541 3.024 1.057
6.090 0.433 4.515
2.686 3.548 0.382
7.944 -0.091 5.190
4.181 3.126 2.928
6.449 0.331 2.644
6.793 2.388 4.609
3.837 1.069 0.963
8.286 1.966 1.296
2.345 1.491 4.276

***

No. 5
GGA-PBE Mn2NiN2, relaxed; ΔE_f = -0.087 eV per atom; calculated density = 6.9 Mg/m³; symmetry = No. 164
1.0
-1.495 -2.560 -1.147
2.458 1.252 -1.585
3.374 -3.183 2.719
Mn Ni N
2 1 2
Cartesian
0.374 -1.810 -0.849
3.963 -2.681 0.836
1.687 -1.591 1.360
2.472 -3.787 0.843
1.865 -0.704 -0.857

***

No. 6
GGA-PBE Mn5NiN4, relaxed; ΔE_f = -0.257 eV per atom; calculated density = 6.1 Mg/m³; symmetry = No. 59
1.0
7.790 0.000 0.000
0.000 5.513 0.000
0.000 0.000 4.900
Mn Ni N
10 2 8
Cartesian
4.169 2.817 1.244
7.515 2.817 1.244
4.169 5.452 1.244
7.515 5.452 1.244
3.620 2.696 3.656
0.275 2.696 3.656
3.620 0.061 3.656
0.275 0.061 3.656
5.842 4.135 4.067
1.947 1.378 0.833
5.842 1.378 4.435
1.947 4.135 0.465
5.842 5.383 0.531
5.842 2.887 0.531
1.947 0.130 4.369
1.947 2.626 4.369
4.419 4.135 2.723
7.265 4.135 2.723
3.370 1.378 2.178
0.524 1.378 2.178